i) This record from the Materials Project database describes a relaxed Li9Cr19O48 crystal. The functional is GGA+U.

Lattice parameters (Å, degrees): 5.0541 10.1830 17.2930 89.99 89.82 89.97
Sites, in units of the cell vectors:
O: 0.1445 0.1147 0.2958
O: 0.0982 0.8886 0.5337
O: 0.4057 0.0097 0.4237
O: 0.4132 0.1091 0.0338
O: 0.9413 0.6092 0.3748
O: 0.9132 0.6192 0.2089
Li: 0.7512 0.9197 0.4712
Li: 0.2487 0.4198 0.5287
O: 0.6022 0.6157 0.9650
Cr: 0.7513 0.5692 0.4759
O: 0.4308 0.8925 0.1262
Cr: 0.2485 0.0691 0.5238
O: 0.3307 0.7491 0.6560
O: 0.0730 0.6191 0.5332
Cr: 0.7286 0.5251 0.1555
O: 0.5835 0.9949 0.5774
O: 0.8552 0.8865 0.7012
O: 0.4553 0.6030 0.1324
Cr: 0.7799 0.0267 0.6535
Li: 0.2539 0.7538 0.1967
Cr: 0.2544 0.9296 0.0267
O: 0.5838 0.8875 0.9655
O: 0.4163 0.4948 0.4229
Cr: 0.2797 0.7486 0.5563
O: 0.0804 0.5026 0.9239
O: 0.0462 0.3920 0.6315
O: 0.9230 0.2500 0.9912
Cr: 0.7989 0.7517 0.9419
O: 0.5911 0.3801 0.7102
O: 0.1378 0.2506 0.1557
O: 0.9192 0.0111 0.0711
O: 0.9088 0.4870 0.0744
O: 0.4120 0.8818 0.2898
Cr: 0.2731 0.4729 0.8464
O: 0.1450 0.3871 0.2989
Cr: 0.7418 0.4310 0.9751
O: 0.4204 0.3791 0.0313
O: 0.6051 0.1212 0.7097
Li: 0.5969 0.7499 0.7514
O: 0.9549 0.8917 0.3685
O: 0.0798 0.9933 0.9269
O: 0.9270 0.1190 0.4666
Cr: 0.7784 0.4738 0.6561
O: 0.8592 0.7507 0.8440
O: 0.4462 0.2397 0.5059
Cr: 0.7213 0.9742 0.1559
O: 0.1016 0.3759 0.7919
Cr: 0.2200 0.5271 0.3467
Li: 0.7567 0.7529 0.3002
Cr: 0.2780 0.0276 0.8444
Li: 0.4018 0.2502 0.2484
O: 0.8547 0.6142 0.7045
Cr: 0.2217 0.9740 0.3439
O: 0.3943 0.6230 0.2915
O: 0.9079 0.8704 0.2044
O: 0.6638 0.3841 0.2049
Cr: 0.7469 0.0724 0.9736
Cr: 0.7201 0.2489 0.4439
O: 0.0937 0.1271 0.7908
O: 0.6688 0.2499 0.3445
Li: 0.2540 0.5791 0.0296
O: 0.3302 0.6149 0.7980
Cr: 0.0961 0.7512 0.7478
O: 0.9017 0.3887 0.4664
O: 0.6647 0.1200 0.2031
O: 0.0565 0.7579 0.0074
Li: 0.2456 0.2487 0.6985
Cr: 0.9027 0.2489 0.2526
O: 0.5598 0.1112 0.8736
O: 0.3337 0.8827 0.7955
Cr: 0.2064 0.2522 0.0584
O: 0.5535 0.7398 0.4943
Li: 0.7460 0.2472 0.8017
O: 0.0571 0.1090 0.6249
O: 0.5943 0.5094 0.5763
O: 0.5584 0.3958 0.8732

symmetry = P1
M_tot = 27.00 Bohr magnetons per cell

---

ii) This record from the Materials Project database describes a relaxed Li9Cr19O48 crystal. The functional is GGA+U.

Lattice parameters (Å, degrees): 5.0542 10.1881 17.2668 90.39 90.38 90.02
Sites, in units of the cell vectors:
Cr: 0.4056 0.2506 0.2472
O: 0.3493 0.6167 0.7961
O: 0.8266 0.8839 0.7057
Cr: 0.2236 0.2514 0.0564
O: 0.0921 0.9905 0.9237
O: 0.8940 0.8781 0.2099
O: 0.6467 0.1136 0.2023
O: 0.9452 0.8940 0.3731
Cr: 0.7223 0.5255 0.1561
Li: 0.2513 0.7472 0.1954
O: 0.1712 0.3853 0.2984
O: 0.0891 0.8838 0.5323
O: 0.9099 0.6199 0.2111
Cr: 0.7582 0.9268 0.4781
O: 0.5726 0.8804 0.9668
O: 0.9485 0.2594 0.9953
O: 0.4431 0.8911 0.1251
O: 0.9052 0.4905 0.0773
O: 0.3479 0.7505 0.6541
O: 0.5958 0.9901 0.5726
Cr: 0.2284 0.9710 0.3454
O: 0.5443 0.1060 0.8696
O: 0.4563 0.2502 0.4975
O: 0.6462 0.3850 0.2055
Cr: 0.7180 0.2497 0.4417
O: 0.5668 0.3757 0.7090
O: 0.4218 0.9977 0.4230
Cr: 0.7577 0.5732 0.4782
O: 0.8313 0.6177 0.7051
Li: 0.2504 0.5792 0.0258
Cr: 0.7511 0.4303 0.9731
O: 0.0544 0.1184 0.6332
Li: 0.2508 0.4249 0.5312
O: 0.0753 0.5014 0.9219
O: 0.0537 0.7602 0.0059
Cr: 0.7791 0.7502 0.9437
Cr: 0.7775 0.4725 0.6566
Li: 0.0913 0.7496 0.7506
O: 0.0881 0.1195 0.7890
O: 0.5974 0.6106 0.9657
Cr: 0.2771 0.0254 0.8442
Cr: 0.2858 0.4732 0.8448
O: 0.9170 0.0045 0.0780
Li: 0.2509 0.0755 0.5322
O: 0.5750 0.7500 0.4914
Cr: 0.7210 0.9732 0.1535
O: 0.9014 0.1162 0.4628
Li: 0.7612 0.7481 0.3009
O: 0.0541 0.3822 0.6303
O: 0.5950 0.5109 0.5727
Cr: 0.2519 0.9303 0.0232
O: 0.1093 0.3685 0.7826
Cr: 0.2544 0.2577 0.6977
O: 0.4028 0.1107 0.0343
O: 0.5615 0.1296 0.7075
O: 0.5603 0.3834 0.8767
Cr: 0.7764 0.0290 0.6575
O: 0.1710 0.1141 0.2982
O: 0.4005 0.6257 0.2915
O: 0.4551 0.6074 0.1312
Cr: 0.2890 0.7506 0.5575
O: 0.4212 0.5019 0.4234
O: 0.4272 0.3805 0.0340
O: 0.9012 0.3838 0.4626
O: 0.3979 0.8746 0.2893
Cr: 0.5922 0.7487 0.7522
Li: 0.7465 0.2523 0.8043
O: 0.0890 0.6165 0.5324
O: 0.6395 0.2490 0.3463
Li: 0.9062 0.2512 0.2488
O: 0.3512 0.8852 0.7960
Li: 0.7486 0.0817 0.9716
O: 0.8268 0.7505 0.8443
O: 0.1706 0.2503 0.1574
Cr: 0.2285 0.5293 0.3460
O: 0.9447 0.6060 0.3741

symmetry = P1
M_tot = 27.00 Bohr magnetons per cell

---

Energy ordering: i) at the bottom, the next structure 1.0 kJ/mol of atoms above.